[1]
DFT (GGA-PBE) results for a relaxed structure of HoTmIn2.

The structure in POSCAR format:
```
HoTmIn2
1.0
3.179 -1.263 4.015
2.258 3.803 2.873
-1.566 0.834 4.967
Ho Tm In
1 1 2
Direct
0.500 0.500 0.500
0.000 0.000 0.000
0.250 0.250 0.250
0.750 0.750 0.750
```

- V: 25.94 Å³ per atom
- Crystal system: cubic
- Formation energy: -0.430 eV per atom
- Space-group type: Fm-3m

=====

[2]
DFT (GGA-PBE) results for a relaxed structure of Ho2ZnIn.

The structure in POSCAR format:
```
Ho2ZnIn
1.0
0.253 -2.892 4.287
-2.249 1.640 4.366
-4.245 -2.374 1.776
Ho Zn In
2 1 1
Direct
0.250 0.250 0.250
0.750 0.750 0.750
0.000 0.000 0.000
0.500 0.500 0.500
```

- V: 24.54 Å³ per atom
- Crystal system: cubic
- Formation energy: -0.397 eV per atom
- Space-group type: Fm-3m

=====

[3]
DFT (GGA-PBE) results for a relaxed structure of Ho3Ir.

The structure in POSCAR format:
```
Ho3Ir
1.0
6.351 0.000 0.000
0.000 7.251 0.000
0.000 0.000 9.226
Ho Ir
12 4
Direct
0.329 0.677 0.063
0.171 0.177 0.437
0.671 0.323 0.563
0.829 0.823 0.937
0.671 0.323 0.937
0.829 0.823 0.563
0.329 0.677 0.437
0.171 0.177 0.063
0.866 0.535 0.250
0.634 0.035 0.250
0.134 0.465 0.750
0.366 0.965 0.750
0.048 0.882 0.250
0.452 0.382 0.250
0.952 0.118 0.750
0.548 0.618 0.750
```

- V: 26.56 Å³ per atom
- Crystal system: orthorhombic
- Formation energy: -0.600 eV per atom
- Space-group type: Pnma

=====

[4]
DFT (GGA-PBE) results for a relaxed structure of Ho3Ir2.

The structure in POSCAR format:
```
Ho3Ir2
1.0
-5.610 5.610 12.579
5.610 -5.610 12.579
5.610 5.610 -12.579
Ho Ir
42 28
Direct
0.632 0.504 0.279
0.225 0.353 0.721
0.132 0.853 0.128
0.725 0.004 0.872
0.353 0.632 0.128
0.504 0.225 0.872
0.004 0.132 0.279
0.853 0.725 0.721
0.368 0.496 0.721
0.775 0.647 0.279
0.868 0.147 0.872
0.275 0.996 0.128
0.647 0.368 0.872
0.496 0.775 0.128
0.996 0.868 0.721
0.147 0.275 0.279
0.386 0.517 0.290
0.227 0.096 0.710
0.886 0.596 0.869
0.727 0.017 0.131
0.096 0.386 0.869
0.517 0.227 0.131
0.017 0.886 0.290
0.596 0.727 0.710
0.614 0.483 0.710
0.773 0.904 0.290
0.114 0.404 0.131
0.273 0.983 0.869
0.904 0.614 0.131
0.483 0.773 0.869
0.983 0.114 0.710
0.404 0.273 0.290
0.850 0.350 0.201
0.150 0.650 0.799
0.350 0.150 0.500
0.650 0.850 0.500
0.388 0.888 0.500
0.888 0.388 0.500
0.612 0.112 0.500
0.112 0.612 0.500
0.250 0.750 0.500
0.750 0.250 0.500
0.715 0.215 0.142
0.073 0.573 0.858
0.215 0.073 0.500
0.573 0.715 0.500
0.285 0.785 0.858
0.927 0.427 0.142
0.785 0.927 0.500
0.427 0.285 0.500
0.466 0.966 0.808
0.157 0.657 0.192
0.966 0.157 0.500
0.657 0.466 0.500
0.534 0.034 0.192
0.843 0.343 0.808
0.034 0.843 0.500
0.343 0.534 0.500
0.597 0.097 0.693
0.403 0.903 0.307
0.097 0.403 0.500
0.903 0.597 0.500
0.366 0.366 0.000
0.866 0.866 0.000
0.634 0.634 0.000
0.134 0.134 0.000
0.500 0.500 0.000
0.000 0.000 0.000
0.250 0.250 0.000
0.750 0.750 0.000
```

- V: 22.62 Å³ per atom
- Crystal system: tetragonal
- Formation energy: -0.830 eV per atom
- Space-group type: I4/mcm